(1)
DFT (PBE with a Hubbard U) results for a geometry-optimized Li4Cr7P6O24 structure.

Calculated values
ΔE to the lowest computed polymorph = 0.000 eV/f.u.
density = 3.09 Mg/m³
ΔE_f = -238.5 kJ per mole of atoms

abc: 9.1350 9.1350 6.4855
angles: 98.89 98.89 99.97
Closest atoms and distances in Å follow each position.
Positions (direct):
Li  0.0000  0.0000  0.0000  1 O 1.89
Li  0.2964  0.2964  0.9483  2 O 1.99
Li  0.5414  0.7933  0.9468  3 O 1.91-2.14
Li  0.7933  0.5414  0.9468  3 O 1.91-2.14
Cr  0.2117  0.5943  0.3133  3 O 2.01-2.20
Cr  0.2424  0.8865  0.6758  4 O 2.07-2.30
Cr  0.2444  0.2444  0.4885  5 O 2.08-2.19
Cr  0.5943  0.2117  0.3133  3 O 2.01-2.20
Cr  0.6108  0.8592  0.5053  4 O 2.03-2.14
Cr  0.8592  0.6108  0.5053  4 O 2.03-2.14
Cr  0.8865  0.2424  0.6758  4 O 2.07-2.30
P  0.1312  0.5150  0.7786  4 O 1.52-1.59
P  0.3184  0.9451  0.1955  4 O 1.54-1.59
P  0.5150  0.1312  0.7786  4 O 1.52-1.59
P  0.5488  0.5488  0.5915  4 O 1.51-1.57
P  0.9033  0.9033  0.4352  4 O 1.49-1.59
P  0.9451  0.3184  0.1955  4 O 1.54-1.59
O  0.0073  0.8278  0.5850  1 P 1.57
O  0.1227  0.3506  0.2808  1 P 1.59
O  0.1452  0.3443  0.7273  1 P 1.57
O  0.1895  0.6145  0.6258  1 P 1.54
O  0.2027  0.9177  0.9845  1 P 1.55
O  0.2190  0.5795  0.0029  1 P 1.52
O  0.2518  0.8508  0.3535  1 P 1.56
O  0.3443  0.1452  0.7273  1 P 1.57
O  0.3506  0.1227  0.2808  1 P 1.59
O  0.4311  0.4311  0.6467  1 P 1.51
O  0.4707  0.6532  0.4573  1 P 1.57
O  0.4745  0.9080  0.1735  1 P 1.54
O  0.5017  0.9525  0.7462  1 P 1.59
O  0.5795  0.2190  0.0029  1 P 1.52
O  0.6145  0.1895  0.6258  1 P 1.54
O  0.6532  0.4707  0.4573  1 P 1.57
O  0.6527  0.6527  0.7964  1 P 1.57
O  0.7663  0.7663  0.3331  1 P 1.59
O  0.8278  0.0073  0.5850  1 P 1.57
O  0.8508  0.2518  0.3535  1 P 1.56
O  0.9080  0.4745  0.1735  1 P 1.54
O  0.9177  0.2027  0.9845  1 P 1.55
O  0.9525  0.5017  0.7462  1 P 1.59
O  0.9793  0.9793  0.2807  1 P 1.49

(2)
DFT (PBE with a Hubbard U) results for a geometry-optimized LiCr6P7O24 structure.

Calculated values
density = 3.25 Mg/m³
ΔE_f = -244.2 kJ per mole of atoms

abc: 5.4389 27.9212 6.4812
angles: 90.00 107.34 90.00
Closest atoms and distances in Å follow each position.
Positions (direct):
Li  0.0680  0.2500  0.4456  3 O 1.93-1.95
Li  0.9320  0.7500  0.5544  3 O 1.93-1.95
Cr  0.1407  0.6808  0.2835  4 O 2.07-2.18
Cr  0.1407  0.8192  0.2835  4 O 2.07-2.18
Cr  0.1959  0.0968  0.0783  4 O 2.11-2.17
Cr  0.1959  0.4032  0.0783  4 O 2.11-2.17
Cr  0.1979  0.5459  0.6930  4 O 2.05-2.13
Cr  0.1979  0.9541  0.6930  4 O 2.05-2.13
Cr  0.8021  0.0459  0.3070  4 O 2.05-2.13
Cr  0.8021  0.4541  0.3070  4 O 2.05-2.13
Cr  0.8041  0.5968  0.9217  4 O 2.11-2.17
Cr  0.8041  0.9032  0.9217  4 O 2.11-2.17
Cr  0.8593  0.1808  0.7165  4 O 2.07-2.18
Cr  0.8593  0.3192  0.7165  4 O 2.07-2.18
P  0.2804  0.6694  0.8228  4 O 1.52-1.64
P  0.2804  0.8306  0.8228  4 O 1.52-1.64
P  0.2992  0.1091  0.6110  4 O 1.50-1.61
P  0.2992  0.3909  0.6110  4 O 1.50-1.61
P  0.3078  0.5276  0.2103  4 O 1.52-1.60
P  0.3078  0.9724  0.2103  4 O 1.52-1.60
P  0.4520  0.2500  0.8929  4 O 1.51-1.59
P  0.5480  0.7500  0.1071  4 O 1.51-1.59
P  0.6922  0.0276  0.7897  4 O 1.52-1.60
P  0.6922  0.4724  0.7897  4 O 1.52-1.60
P  0.7008  0.6091  0.3890  4 O 1.50-1.61
P  0.7008  0.8909  0.3890  4 O 1.50-1.61
P  0.7196  0.1694  0.1772  4 O 1.52-1.64
P  0.7196  0.3306  0.1772  4 O 1.52-1.64
O  0.0951  0.6672  0.9602  1 P 1.53
O  0.0951  0.8328  0.9602  1 P 1.53
O  0.1304  0.0917  0.3864  1 P 1.55
O  0.1304  0.4083  0.3864  1 P 1.55
O  0.1308  0.1215  0.7590  1 P 1.55
O  0.1308  0.3785  0.7590  1 P 1.55
O  0.1318  0.5488  0.9959  1 P 1.55
O  0.1318  0.9512  0.9959  1 P 1.55
O  0.1433  0.6924  0.6032  1 P 1.54
O  0.1433  0.8076  0.6032  1 P 1.54
O  0.1668  0.5277  0.3805  1 P 1.52
O  0.1668  0.9723  0.3805  1 P 1.52
O  0.1727  0.2500  0.7569  1 P 1.51
O  0.3476  0.7500  0.2279  1 P 1.52
O  0.4226  0.0211  0.1812  1 P 1.53
O  0.4226  0.4789  0.1812  1 P 1.53
O  0.4226  0.6230  0.8111  1 P 1.52
O  0.4226  0.8770  0.8111  1 P 1.52
O  0.4424  0.0613  0.7231  2 P 1.60-1.61
O  0.4424  0.4387  0.7231  2 P 1.60-1.61
O  0.4838  0.1480  0.5992  1 P 1.50
O  0.4838  0.3520  0.5992  1 P 1.50
O  0.4854  0.2057  0.0540  2 P 1.59-1.64
O  0.4854  0.2943  0.0540  2 P 1.59-1.64
O  0.5146  0.7057  0.9460  2 P 1.59-1.64
O  0.5146  0.7943  0.9460  2 P 1.59-1.64
O  0.5162  0.6480  0.4008  1 P 1.50
O  0.5162  0.8520  0.4008  1 P 1.50
O  0.5576  0.5613  0.2769  2 P 1.60-1.61
O  0.5576  0.9387  0.2769  2 P 1.60-1.61
O  0.5774  0.1230  0.1889  1 P 1.52
O  0.5774  0.3770  0.1889  1 P 1.52
O  0.5774  0.5211  0.8188  1 P 1.53
O  0.5774  0.9789  0.8188  1 P 1.53
O  0.6524  0.2500  0.7721  1 P 1.52
O  0.8273  0.7500  0.2431  1 P 1.51
O  0.8332  0.0277  0.6195  1 P 1.52
O  0.8332  0.4723  0.6195  1 P 1.52
O  0.8567  0.1924  0.3968  1 P 1.54
O  0.8567  0.3076  0.3968  1 P 1.54
O  0.8682  0.0488  0.0041  1 P 1.55
O  0.8682  0.4512  0.0041  1 P 1.55
O  0.8692  0.6215  0.2410  1 P 1.55
O  0.8692  0.8785  0.2410  1 P 1.55
O  0.8696  0.5917  0.6136  1 P 1.55
O  0.8696  0.9083  0.6136  1 P 1.55
O  0.9049  0.1672  0.0398  1 P 1.53
O  0.9049  0.3328  0.0398  1 P 1.53

(3)
DFT (PBE with a Hubbard U) results for a geometry-optimized Li2CrP2O8 structure.

Calculated values
ΔE to the lowest computed polymorph = 0.180 eV/f.u.
density = 3.04 Mg/m³
ΔE_f = -242.6 kJ per mole of atoms

abc: 4.9197 8.6120 6.6173
angles: 90.00 95.38 90.00
Closest atoms and distances in Å follow each position.
Positions (direct):
Li  0.2415  0.0000  0.0596  3 O 2.01-2.18
Li  0.2518  0.3571  0.7417  3 O 1.92-2.01
Li  0.7482  0.8571  0.2583  3 O 1.92-2.01
Li  0.7585  0.5000  0.9404  3 O 2.01-2.18
Cr  0.2554  0.3564  0.2573  6 O 1.95-2.06
Cr  0.7446  0.8564  0.7427  6 O 1.95-2.06
P  0.2180  0.0383  0.5241  4 O 1.54-1.56
P  0.2812  0.6793  0.9799  4 O 1.52-1.57
P  0.7188  0.1793  0.0201  4 O 1.52-1.57
P  0.7820  0.5383  0.4759  4 O 1.54-1.56
O  0.0299  0.2176  0.0631  1 P 1.57
O  0.0766  0.9894  0.7143  1 P 1.55
O  0.0851  0.9674  0.3259  1 P 1.54
O  0.1987  0.2179  0.4970  1 P 1.56
O  0.3167  0.5002  0.0176  1 P 1.57
O  0.3966  0.7740  0.1622  1 P 1.52
O  0.4360  0.7153  0.7922  1 P 1.55
O  0.4776  0.4887  0.4472  1 P 1.55
O  0.5224  0.9887  0.5528  1 P 1.55
O  0.5640  0.2153  0.2078  1 P 1.55
O  0.6034  0.2740  0.8378  1 P 1.52
O  0.6833  0.0002  0.9824  1 P 1.57
O  0.8013  0.7179  0.5030  1 P 1.56
O  0.9149  0.4674  0.6741  1 P 1.54
O  0.9234  0.4894  0.2857  1 P 1.55
O  0.9701  0.7176  0.9369  1 P 1.57

(4)
DFT (PBE with a Hubbard U) results for a geometry-optimized Li7Cr2P7O24 structure.

Calculated values
density = 2.72 Mg/m³
ΔE_f = -253.8 kJ per mole of atoms

abc: 15.0709 5.0586 12.1307
angles: 90.00 96.32 90.00
Closest atoms and distances in Å follow each position.
Positions (direct):
Li  0.0000  0.2102  0.2500  4 O 2.10-2.30
Li  0.0000  0.7898  0.7500  4 O 2.10-2.30
Li  0.0958  0.3338  0.9342  1 O 1.94
Li  0.0958  0.6662  0.4342  1 O 1.94
Li  0.3670  0.3210  0.1096  3 O 2.13-2.21
Li  0.3670  0.6790  0.6096  3 O 2.13-2.21
Li  0.4451  0.2348  0.4822  4 O 2.02-2.22
Li  0.4451  0.7652  0.9822  4 O 2.02-2.22
Li  0.5549  0.2348  0.0178  4 O 2.02-2.22
Li  0.5549  0.7652  0.5178  4 O 2.02-2.22
Li  0.6330  0.3210  0.3904  3 O 2.13-2.21
Li  0.6330  0.6790  0.8904  3 O 2.13-2.21
Li  0.9042  0.3338  0.5658  1 O 1.94
Li  0.9042  0.6662  0.0658  1 O 1.94
Cr  0.2144  0.1267  0.2932  6 O 1.94-2.11
Cr  0.2144  0.8733  0.7932  6 O 1.94-2.11
Cr  0.7856  0.1267  0.2068  6 O 1.94-2.11
Cr  0.7856  0.8733  0.7068  6 O 1.94-2.11
P  0.1056  0.3601  0.6904  4 O 1.51-1.60
P  0.1056  0.6399  0.1904  4 O 1.51-1.60
P  0.2324  0.1220  0.5503  4 O 1.49-1.63
P  0.2324  0.8780  0.0503  4 O 1.49-1.63
P  0.3592  0.3747  0.8437  4 O 1.51-1.63
P  0.3592  0.6253  0.3437  4 O 1.51-1.63
P  0.5000  0.0644  0.7500  4 O 1.51-1.61
P  0.5000  0.9356  0.2500  4 O 1.51-1.61
P  0.6408  0.3747  0.6563  4 O 1.51-1.63
P  0.6408  0.6253  0.1563  4 O 1.51-1.63
P  0.7676  0.1220  0.9497  4 O 1.49-1.63
P  0.7676  0.8780  0.4497  4 O 1.49-1.63
P  0.8944  0.3601  0.8096  4 O 1.51-1.60
P  0.8944  0.6399  0.3096  4 O 1.51-1.60
O  0.0213  0.4606  0.6245  1 P 1.51
O  0.0213  0.5394  0.1245  1 P 1.51
O  0.0992  0.0769  0.7371  1 P 1.55
O  0.0992  0.9231  0.2371  1 P 1.55
O  0.1370  0.4481  0.2858  1 P 1.54
O  0.1370  0.5519  0.7858  1 P 1.54
O  0.1662  0.0526  0.4471  1 P 1.55
O  0.1662  0.9474  0.9471  1 P 1.55
O  0.1822  0.3625  0.6085  2 P 1.60-1.63
O  0.1822  0.6375  0.1085  2 P 1.60-1.63
O  0.2418  0.1113  0.1328  1 P 1.54
O  0.2418  0.8887  0.6328  1 P 1.54
O  0.2808  0.1879  0.8424  1 P 1.51
O  0.2808  0.8121  0.3424  1 P 1.51
O  0.3194  0.2359  0.5257  1 P 1.49
O  0.3194  0.7641  0.0257  1 P 1.49
O  0.3292  0.3511  0.2998  1 P 1.54
O  0.3292  0.6489  0.7998  1 P 1.54
O  0.4185  0.2708  0.7476  2 P 1.61-1.63
O  0.4185  0.7292  0.2476  2 P 1.61-1.63
O  0.4197  0.3733  0.9526  1 P 1.52
O  0.4197  0.6267  0.4526  1 P 1.52
O  0.4846  0.0862  0.1421  1 P 1.51
O  0.4846  0.9138  0.6421  1 P 1.51
O  0.5154  0.0862  0.3579  1 P 1.51
O  0.5154  0.9138  0.8579  1 P 1.51
O  0.5803  0.3733  0.5474  1 P 1.52
O  0.5803  0.6267  0.0474  1 P 1.52
O  0.5815  0.2708  0.7524  2 P 1.61-1.63
O  0.5815  0.7292  0.2524  2 P 1.61-1.63
O  0.6708  0.3511  0.2002  1 P 1.54
O  0.6708  0.6489  0.7002  1 P 1.54
O  0.6806  0.2359  0.9743  1 P 1.49
O  0.6806  0.7641  0.4743  1 P 1.49
O  0.7192  0.1879  0.6576  1 P 1.51
O  0.7192  0.8121  0.1576  1 P 1.51
O  0.7582  0.1113  0.3672  1 P 1.54
O  0.7582  0.8887  0.8672  1 P 1.54
O  0.8178  0.3625  0.8915  2 P 1.60-1.63
O  0.8178  0.6375  0.3915  2 P 1.60-1.63
O  0.8338  0.0526  0.0529  1 P 1.55
O  0.8338  0.9474  0.5529  1 P 1.55
O  0.8630  0.4481  0.2142  1 P 1.54
O  0.8630  0.5519  0.7142  1 P 1.54
O  0.9008  0.0769  0.7629  1 P 1.55
O  0.9008  0.9231  0.2629  1 P 1.55
O  0.9787  0.4606  0.8755  1 P 1.51
O  0.9787  0.5394  0.3755  1 P 1.51

- Look up the ΔE_f of the first one.
  -238.5 kJ per mole of atoms

- Look up the ΔE_f of the third one.
  -242.6 kJ per mole of atoms

Repeat the first record exactly.
DFT (PBE with a Hubbard U) results for a geometry-optimized Li4Cr7P6O24 structure.

Calculated values
ΔE to the lowest computed polymorph = 0.000 eV/f.u.
density = 3.09 Mg/m³
ΔE_f = -238.5 kJ per mole of atoms

abc: 9.1350 9.1350 6.4855
angles: 98.89 98.89 99.97
Closest atoms and distances in Å follow each position.
Positions (direct):
Li  0.0000  0.0000  0.0000  1 O 1.89
Li  0.2964  0.2964  0.9483  2 O 1.99
Li  0.5414  0.7933  0.9468  3 O 1.91-2.14
Li  0.7933  0.5414  0.9468  3 O 1.91-2.14
Cr  0.2117  0.5943  0.3133  3 O 2.01-2.20
Cr  0.2424  0.8865  0.6758  4 O 2.07-2.30
Cr  0.2444  0.2444  0.4885  5 O 2.08-2.19
Cr  0.5943  0.2117  0.3133  3 O 2.01-2.20
Cr  0.6108  0.8592  0.5053  4 O 2.03-2.14
Cr  0.8592  0.6108  0.5053  4 O 2.03-2.14
Cr  0.8865  0.2424  0.6758  4 O 2.07-2.30
P  0.1312  0.5150  0.7786  4 O 1.52-1.59
P  0.3184  0.9451  0.1955  4 O 1.54-1.59
P  0.5150  0.1312  0.7786  4 O 1.52-1.59
P  0.5488  0.5488  0.5915  4 O 1.51-1.57
P  0.9033  0.9033  0.4352  4 O 1.49-1.59
P  0.9451  0.3184  0.1955  4 O 1.54-1.59
O  0.0073  0.8278  0.5850  1 P 1.57
O  0.1227  0.3506  0.2808  1 P 1.59
O  0.1452  0.3443  0.7273  1 P 1.57
O  0.1895  0.6145  0.6258  1 P 1.54
O  0.2027  0.9177  0.9845  1 P 1.55
O  0.2190  0.5795  0.0029  1 P 1.52
O  0.2518  0.8508  0.3535  1 P 1.56
O  0.3443  0.1452  0.7273  1 P 1.57
O  0.3506  0.1227  0.2808  1 P 1.59
O  0.4311  0.4311  0.6467  1 P 1.51
O  0.4707  0.6532  0.4573  1 P 1.57
O  0.4745  0.9080  0.1735  1 P 1.54
O  0.5017  0.9525  0.7462  1 P 1.59
O  0.5795  0.2190  0.0029  1 P 1.52
O  0.6145  0.1895  0.6258  1 P 1.54
O  0.6532  0.4707  0.4573  1 P 1.57
O  0.6527  0.6527  0.7964  1 P 1.57
O  0.7663  0.7663  0.3331  1 P 1.59
O  0.8278  0.0073  0.5850  1 P 1.57
O  0.8508  0.2518  0.3535  1 P 1.56
O  0.9080  0.4745  0.1735  1 P 1.54
O  0.9177  0.2027  0.9845  1 P 1.55
O  0.9525  0.5017  0.7462  1 P 1.59
O  0.9793  0.9793  0.2807  1 P 1.49

- Which of these has the lowest density?
  Li7Cr2P7O24